The following is a PBE with a Hubbard U calculation of crystalline MgMn4O8 at its relaxed geometry, from the Materials Project database.

## Properties
Total energy ... -7.102 eV per atom
Total magnetization ... 1.077 μB/atom
ρ ... 4.0 g cm⁻³
Space-group type ... R-3m (166)
Energy relative to the elements ... -2.05 eV per atom

Lattice parameters (Å, degrees): 6.043 6.043 6.043 59.22 59.22 59.22
Sites, in units of the cell vectors:
1 O 0.747 0.297 0.747
2 Mg 0.500 0.500 0.500
3 Mn 0.000 0.000 0.000
4 O 0.297 0.747 0.747
5 Mn 0.500 0.000 0.500
6 O 0.747 0.747 0.297
7 O 0.703 0.253 0.253
8 O 0.253 0.703 0.253
9 Mn 0.000 0.500 0.500
10 O 0.253 0.253 0.703
11 O 0.732 0.732 0.732
12 O 0.268 0.268 0.268
13 Mn 0.500 0.500 0.000

The following is a PBE with a Hubbard U calculation of crystalline Li4V3P8O29 at its relaxed geometry, from the Materials Project database.

## Properties
Total energy ... -7.043 eV per atom
Total magnetization ... 0.023 μB/atom
ρ ... 2.5 g cm⁻³
Space-group type ... P1 (1)
Energy relative to the elements ... -2.57 eV per atom

Lattice parameters (Å, degrees): 9.777 9.791 14.289 90.03 90.16 119.94
Sites, in units of the cell vectors:
1 O 0.918 0.258 0.834
2 O 0.474 0.384 0.827
3 Li 0.092 0.326 0.942
4 P 0.668 0.331 0.129
5 O 0.198 0.001 0.083
6 O 0.201 0.989 0.259
7 O 0.256 0.021 0.433
8 P 0.662 0.330 0.633
9 P 0.314 0.230 0.842
10 P 0.917 0.690 0.842
11 O 0.183 0.661 0.321
12 O 0.991 0.235 0.432
13 O 0.536 0.616 0.170
14 O 0.237 0.232 0.933
15 O 0.333 0.815 0.824
16 O 0.916 0.534 0.830
17 P 0.690 0.777 0.159
18 P 0.087 0.773 0.660
19 P 0.911 0.230 0.342
20 O 0.990 0.783 0.927
21 O 0.663 0.481 0.674
22 V 0.564 0.002 0.248
23 Li 0.985 0.919 0.015
24 O 0.482 0.103 0.319
25 O 0.812 0.328 0.670
26 V 0.995 0.567 0.248
27 O 0.238 0.227 0.579
28 P 0.771 0.684 0.340
29 V 0.434 0.436 0.250
30 O 0.776 0.014 0.931
31 O 0.522 0.905 0.679
32 O 0.787 0.800 0.256
33 O 0.201 0.213 0.757
34 Li 0.920 0.228 0.557
35 O 0.676 0.328 0.025
36 O 0.813 0.482 0.176
37 Li 0.328 0.228 0.061
38 O 0.653 0.913 0.161
39 O 0.190 0.514 0.832
40 V 0.566 0.568 0.754
41 O 0.486 0.672 0.822
42 O 0.914 0.660 0.334
43 O 0.257 0.919 0.663
44 O 0.338 0.665 0.469
45 O 0.343 0.259 0.326
46 V 0.001 0.437 0.747
47 O 0.348 0.674 0.973
48 O 0.083 0.338 0.659
49 O 0.089 0.473 0.174
50 O 0.743 0.657 0.827
51 O 0.006 0.797 0.751
52 P 0.681 0.912 0.661
53 P 0.229 0.315 0.661
54 O 0.757 0.754 0.430
55 O 0.514 0.328 0.165
56 O 0.653 0.325 0.529
57 P 0.085 0.315 0.161
58 O 0.681 0.190 0.171
59 O 0.000 0.231 0.072
60 O 0.256 0.341 0.160
61 P 0.335 0.666 0.869
62 O 0.002 0.210 0.252
63 O 0.661 0.744 0.660
64 Li 0.689 0.914 0.440
65 O 0.340 0.523 0.318
66 O 0.790 0.999 0.751
67 Li 0.761 0.089 0.059
68 P 0.220 0.914 0.162
69 Li 0.310 0.085 0.557
70 V 0.430 0.998 0.754
71 O 0.098 0.622 0.677
72 O 0.514 0.181 0.677
73 O 0.905 0.382 0.321
74 P 0.333 0.669 0.365
75 O 0.791 0.793 0.078
76 Li 0.777 0.683 0.556
77 O 0.484 0.815 0.325
78 O 0.381 0.475 0.680
79 O 0.617 0.092 0.824
80 O 0.744 0.081 0.337
81 O 0.340 0.086 0.834
82 O 0.758 0.999 0.572
83 P 0.321 0.091 0.341
84 O 0.619 0.522 0.320
85 O 0.081 0.741 0.167
86 O 0.378 0.919 0.167
87 P 0.774 0.090 0.841
88 O 0.996 0.767 0.575

The following is a PBE with a Hubbard U calculation of crystalline CaNiGe2O6 at its relaxed geometry, from the Materials Project database.

## Properties
Total energy ... -6.282 eV per atom
Total magnetization ... 0.000 μB/atom
ρ ... 4.6 g cm⁻³
Energy relative to the elements ... -2.28 eV per atom

Lattice parameters (Å, degrees): 5.478 10.230 9.056 90.00 90.00 105.53
Sites, in units of the cell vectors:
1 Ge 0.935 0.715 0.099
2 O 0.383 0.860 0.531
3 Ni 0.250 0.000 0.911
4 Ge 0.565 0.285 0.099
5 O 0.476 0.136 0.762
6 O 0.883 0.360 0.031
7 Ni 0.750 0.000 0.089
8 Ca 0.250 0.500 0.198
9 O 0.024 0.364 0.738
10 O 0.476 0.636 0.738
11 Ge 0.435 0.715 0.901
12 O 0.525 0.893 0.910
13 Ge 0.435 0.215 0.599
14 O 0.025 0.893 0.090
15 O 0.976 0.136 0.238
16 O 0.524 0.864 0.238
17 O 0.117 0.140 0.531
18 O 0.525 0.393 0.590
19 Ca 0.250 0.000 0.302
20 Ni 0.250 0.500 0.589
21 O 0.617 0.640 0.031
22 O 0.524 0.364 0.262
23 O 0.475 0.607 0.410
24 Ni 0.750 0.500 0.411
25 O 0.975 0.607 0.590
26 Ca 0.750 0.500 0.802
27 Ca 0.750 0.000 0.698
28 O 0.617 0.140 0.469
29 O 0.024 0.864 0.762
30 Ge 0.065 0.785 0.599
31 Ge 0.065 0.285 0.901
32 O 0.883 0.860 0.469
33 O 0.475 0.107 0.090
34 Ge 0.935 0.215 0.401
35 O 0.117 0.640 0.969
36 O 0.025 0.393 0.410
37 O 0.976 0.636 0.262
38 O 0.975 0.107 0.910
39 O 0.383 0.360 0.969
40 Ge 0.565 0.785 0.401

The following is a PBE with a Hubbard U calculation of crystalline LiMnP3O9 at its relaxed geometry, from the Materials Project database.

## Properties
Total energy ... -7.155 eV per atom
Total magnetization ... 0.357 μB/atom
ρ ... 2.8 g cm⁻³
Space-group type ... P1 (1)
Energy relative to the elements ... -2.58 eV per atom

Lattice parameters (Å, degrees): 9.897 11.072 12.118 113.74 110.40 97.38
Sites, in units of the cell vectors:
1 P 0.781 0.996 0.607
2 P 0.465 0.789 0.385
3 O 0.395 0.928 0.712
4 O 0.005 0.691 0.172
5 Li 0.931 0.596 0.743
6 O 0.312 0.016 0.023
7 O 0.085 0.406 0.820
8 O 0.591 0.540 0.719
9 O 0.625 0.446 0.923
10 O 0.166 0.300 0.638
11 O 0.960 0.239 0.128
12 O 0.334 0.520 0.826
13 O 0.370 0.819 0.279
14 O 0.721 0.162 0.162
15 O 0.788 0.994 0.979
16 P 0.982 0.738 0.056
17 Mn 0.683 0.254 0.813
18 O 0.060 0.000 0.840
19 P 0.324 0.050 0.720
20 O 0.656 0.442 0.529
21 O 0.111 0.860 0.104
22 O 0.884 0.076 0.578
23 O 0.068 0.516 0.673
24 P 0.102 0.330 0.278
25 P 0.673 0.387 0.391
26 Li 0.687 0.854 0.263
27 O 0.891 0.105 0.336
28 P 0.426 0.682 0.943
29 O 0.398 0.118 0.325
30 O 0.763 0.587 0.180
31 O 0.027 0.661 0.362
32 O 0.435 0.168 0.732
33 O 0.823 0.738 0.001
34 O 0.056 0.770 0.664
35 P 0.960 0.840 0.723
36 O 0.570 0.788 0.673
37 P 0.236 0.086 0.949
38 O 0.806 0.496 0.419
39 O 0.894 0.842 0.327
40 Mn 0.690 0.769 0.841
41 O 0.931 0.359 0.930
42 P 0.580 0.405 0.615
43 O 0.526 0.347 0.271
44 Mn 0.349 0.928 0.160
45 O 0.213 0.090 0.426
46 Mn 0.041 0.074 0.490
47 O 0.502 0.428 0.070
48 O 0.694 0.204 0.977
49 O 0.996 0.597 0.941
50 O 0.508 0.759 0.899
51 O 0.181 0.215 0.286
52 O 0.380 0.807 0.481
53 P 0.058 0.472 0.952
54 O 0.716 0.249 0.383
55 O 0.042 0.382 0.379
56 O 0.332 0.109 0.871
57 P 0.785 0.138 0.052
58 O 0.493 0.650 0.342
59 O 0.219 0.227 0.023
60 P 0.409 0.784 0.612
61 P 0.737 0.117 0.278
62 O 0.652 0.309 0.658
63 Li 0.166 0.605 0.263
64 O 0.835 0.868 0.618
65 O 0.203 0.436 0.267
66 Mn 0.047 0.583 0.509
67 O 0.552 0.654 0.058
68 O 0.400 0.327 0.518
69 P 0.154 0.434 0.727
70 O 0.606 0.989 0.222
71 O 0.751 0.075 0.726
72 P 0.926 0.706 0.273
73 O 0.320 0.737 0.998
74 O 0.164 0.001 0.619
75 Li 0.401 0.342 0.738
76 P 0.605 0.519 0.048
77 O 0.626 0.911 0.469
78 Li 0.554 0.257 0.063
79 P 0.298 0.174 0.387
80 O 0.203 0.524 0.077
81 Mn 0.371 0.440 0.187
82 Li 0.992 0.195 0.934
83 O 0.283 0.663 0.574
84 O 0.885 0.768 0.779

The following is a PBE with a Hubbard U calculation of crystalline LiVCrP4O14 at its relaxed geometry, from the Materials Project database.

## Properties
Total energy ... -7.322 eV per atom
Total magnetization ... 0.190 μB/atom
ρ ... 2.9 g cm⁻³
Space-group type ... P1 (1)
Energy relative to the elements ... -2.64 eV per atom

Lattice parameters (Å, degrees): 8.058 9.733 13.301 87.88 89.88 89.98
Sites, in units of the cell vectors:
1 O 0.563 0.818 0.957
2 O 0.178 0.188 0.573
3 O 0.331 0.048 0.303
4 O 0.565 0.317 0.952
5 O 0.959 0.220 0.742
6 P 0.820 0.571 0.261
7 O 0.803 0.905 0.058
8 Cr 0.002 0.577 0.637
9 Li 0.638 0.832 0.164
10 P 0.820 0.321 0.761
11 P 0.717 0.664 0.456
12 O 0.665 0.309 0.427
13 O 0.819 0.952 0.697
14 O 0.147 0.493 0.743
15 O 0.564 0.067 0.455
16 O 0.652 0.745 0.759
17 P 0.719 0.160 0.458
18 P 0.218 0.087 0.044
19 O 0.850 0.111 0.376
20 O 0.352 0.892 0.626
21 O 0.356 0.391 0.623
22 Cr 0.993 0.324 0.136
23 O 0.809 0.412 0.055
24 O 0.854 0.613 0.377
25 P 0.824 0.819 0.759
26 P 0.322 0.933 0.739
27 O 0.961 0.719 0.738
28 O 0.326 0.546 0.305
29 V 0.504 0.174 0.861
30 O 0.176 0.437 0.072
31 O 0.324 0.296 0.804
32 O 0.647 0.254 0.759
33 P 0.717 0.414 0.957
34 O 0.817 0.702 0.195
35 P 0.719 0.911 0.956
36 O 0.320 0.846 0.446
37 O 0.852 0.859 0.877
38 O 0.151 0.252 0.245
39 O 0.353 0.143 0.125
40 O 0.182 0.938 0.071
41 O 0.819 0.202 0.196
42 P 0.217 0.586 0.043
43 O 0.665 0.811 0.424
44 O 0.651 0.996 0.258
45 O 0.065 0.930 0.543
46 V 0.493 0.928 0.364
47 O 0.460 0.780 0.261
48 Li 0.136 0.169 0.837
49 O 0.317 0.594 0.945
50 O 0.180 0.687 0.570
51 O 0.312 0.101 0.943
52 O 0.152 0.001 0.747
53 O 0.661 0.560 0.925
54 P 0.322 0.183 0.239
55 O 0.818 0.452 0.694
56 O 0.812 0.161 0.555
57 O 0.311 0.348 0.442
58 O 0.461 0.031 0.766
59 V 0.492 0.676 0.864
60 O 0.853 0.364 0.876
61 O 0.462 0.281 0.265
62 P 0.218 0.336 0.544
63 Cr 0.994 0.073 0.636
64 O 0.670 0.060 0.925
65 P 0.318 0.680 0.238
66 O 0.067 0.431 0.541
67 V 0.504 0.422 0.362
68 O 0.147 0.743 0.245
69 Cr 0.003 0.826 0.138
70 Li 0.638 0.582 0.665
71 O 0.065 0.179 0.040
72 O 0.959 0.470 0.242
73 P 0.318 0.430 0.738
74 O 0.355 0.640 0.124
75 P 0.217 0.837 0.543
76 O 0.564 0.568 0.454
77 Li 0.136 0.419 0.337
78 O 0.960 0.969 0.238
79 O 0.332 0.798 0.804
80 O 0.067 0.681 0.044
81 O 0.460 0.530 0.760
82 P 0.823 0.070 0.259
83 O 0.648 0.503 0.261
84 O 0.801 0.657 0.558

The following is a PBE with a Hubbard U calculation of crystalline Na2MnCdFeP3O12 at its relaxed geometry, from the Materials Project database.

## Properties
Total energy ... -6.677 eV per atom
Total magnetization ... 0.500 μB/atom
ρ ... 3.9 g cm⁻³
Space-group type ... P1 (1)
Energy relative to the elements ... -2.44 eV per atom

Lattice parameters (Å, degrees): 6.642 8.856 8.909 92.36 106.81 106.20
Sites, in units of the cell vectors:
1 O 0.178 0.601 0.941
2 O 0.819 0.405 0.057
3 O 0.683 0.939 0.590
4 O 0.408 0.323 0.012
5 O 0.398 0.831 0.838
6 O 0.181 0.291 0.457
7 O 0.588 0.644 0.977
8 Cd 0.252 0.268 0.732
9 P 0.873 0.864 0.659
10 P 0.753 0.285 0.718
11 O 0.876 0.821 0.830
12 P 0.365 0.656 0.866
13 Cd 0.994 0.507 0.495
14 Na 0.745 0.732 0.267
15 O 0.906 0.016 0.352
16 O 0.209 0.738 0.439
17 Na 0.504 0.504 0.495
18 O 0.746 0.459 0.742
19 O 0.546 0.171 0.744
20 Na 0.249 0.978 0.023
21 Mn 0.145 0.378 0.071
22 O 0.322 0.063 0.405
23 P 0.128 0.134 0.346
24 O 0.626 0.168 0.180
25 O 0.301 0.542 0.707
26 O 0.040 0.739 0.149
27 P 0.248 0.721 0.276
28 Fe 0.860 0.618 0.937
29 O 0.287 0.559 0.260
30 Fe 0.640 0.061 0.383
31 O 0.099 0.160 0.170
32 O 0.683 0.454 0.286
33 Na 0.751 0.022 0.978
34 P 0.635 0.340 0.136
35 Mn 0.357 0.931 0.620
36 O 0.836 0.715 0.548
37 O 0.454 0.851 0.261
38 O 0.098 0.992 0.681
39 O 0.960 0.255 0.830
40 O 0.760 0.262 0.543

The following is a PBE with a Hubbard U calculation of crystalline LiCoOF2 at its relaxed geometry, from the Materials Project database.

## Properties
Total energy ... -5.085 eV per atom
Total magnetization ... 0.800 μB/atom
ρ ... 3.4 g cm⁻³
Space-group type ... C2/c (15)
Energy relative to the elements ... -2.18 eV per atom

Lattice parameters (Å, degrees): 6.625 6.625 6.107 72.28 72.28 68.88
Sites, in units of the cell vectors:
1 Co 0.788 0.674 0.233
2 Li 0.908 0.092 0.250
3 O 0.684 0.608 0.566
4 O 0.392 0.316 0.934
5 F 0.983 0.358 0.246
6 F 0.358 0.983 0.746
7 O 0.316 0.392 0.434
8 Co 0.326 0.212 0.267
9 Li 0.092 0.908 0.750
10 F 0.642 0.017 0.254
11 Co 0.212 0.326 0.767
12 Li 0.692 0.308 0.750
13 F 0.958 0.218 0.865
14 Li 0.308 0.692 0.250
15 F 0.042 0.782 0.135
16 Co 0.674 0.788 0.733
17 F 0.782 0.042 0.635
18 F 0.218 0.958 0.365
19 F 0.017 0.642 0.754
20 O 0.608 0.684 0.066

The following is a PBE with a Hubbard U calculation of crystalline LaZnFe2O6 at its relaxed geometry, from the Materials Project database.

## Properties
Total energy ... -6.514 eV per atom
Total magnetization ... 0.900 μB/atom
ρ ... 6.0 g cm⁻³
Space-group type ... Pmn2_1 (31)
Energy relative to the elements ... -2.09 eV per atom

Lattice parameters (Å, degrees): 5.347 5.512 7.746 90.00 90.00 90.00
Sites, in units of the cell vectors:
1 Fe 0.500 0.754 0.250
2 O 0.576 0.781 0.000
3 O 0.231 0.982 0.197
4 La 0.009 0.721 0.000
5 O 0.231 0.982 0.803
6 Zn 0.981 0.771 0.500
7 O 0.076 0.219 0.500
8 O 0.865 0.269 0.000
9 O 0.731 0.018 0.303
10 O 0.304 0.451 0.808
11 O 0.731 0.018 0.697
12 O 0.804 0.549 0.308
13 O 0.304 0.451 0.192
14 O 0.804 0.549 0.692
15 Fe 0.000 0.246 0.750
16 Fe 0.000 0.246 0.250
17 Zn 0.481 0.229 0.000
18 La 0.509 0.279 0.500
19 Fe 0.500 0.754 0.750
20 O 0.365 0.731 0.500